DFT (r²SCAN) results for a relaxed structure of EuSi.

Total DFT energy (no corrections) (eV per cell): -97.27
ΔE_f (meV per atom): -671.3
Size of the total moment (μB per atom): 3.577

a = 3.947 Å, b = 4.604 Å, c = 6.005 Å
α = 112.54°, β = 90.00°, γ = 90.00°
Sites, in units of the cell vectors:
Eu: 0.750 0.142 0.284
Eu: 0.250 0.858 0.716
Si: 0.750 0.435 0.870
Si: 0.250 0.565 0.130

---

DFT (r²SCAN) results for a relaxed structure of Lu2ZnAg.

Total DFT energy (no corrections) (eV per cell): -107.93
ΔE_f (meV per atom): -375.6
Size of the total moment (μB per atom): 0.000

a = 4.948 Å, b = 4.948 Å, c = 4.948 Å
α = 60.00°, β = 60.00°, γ = 60.00°
Sites, in units of the cell vectors:
Zn: 0.750 0.750 0.750
Lu: 0.500 0.500 0.500
Lu: 0.000 0.000 0.000
Ag: 0.250 0.250 0.250

---

DFT (r²SCAN) results for a relaxed structure of Ho4Sb3.

Total DFT energy (no corrections) (eV per cell): -433.04
ΔE_f (meV per atom): -1125.0
Size of the total moment (μB per atom): 0.000

a = 7.901 Å, b = 7.901 Å, c = 7.901 Å
α = 109.47°, β = 109.47°, γ = 109.47°
Sites, in units of the cell vectors:
Ho: 0.000 0.356 0.500
Ho: 0.500 0.000 0.856
Ho: 0.856 0.500 0.000
Ho: 0.500 0.000 0.356
Ho: 0.644 0.644 0.644
Ho: 0.356 0.500 0.000
Ho: 0.144 0.144 0.144
Ho: 0.000 0.856 0.500
Sb: 0.125 0.750 0.875
Sb: 0.250 0.625 0.375
Sb: 0.750 0.875 0.125
Sb: 0.375 0.250 0.625
Sb: 0.625 0.375 0.250
Sb: 0.875 0.125 0.750

---

DFT (r²SCAN) results for a relaxed structure of ScP4Ru6.

Total DFT energy (no corrections) (eV per cell): -208.51
ΔE_f (meV per atom): -777.5
Size of the total moment (μB per atom): 0.000

a = 6.892 Å, b = 6.892 Å, c = 3.653 Å
α = 90.00°, β = 90.00°, γ = 120.00°
Sites, in units of the cell vectors:
Ru: 0.072 0.536 0.000
Ru: 0.803 0.197 0.500
Ru: 0.393 0.197 0.500
Ru: 0.464 0.928 0.000
Ru: 0.803 0.607 0.500
Ru: 0.464 0.536 0.000
P: 0.186 0.814 0.500
P: 0.667 0.333 0.000
P: 0.628 0.814 0.500
P: 0.186 0.372 0.500
Sc: 0.000 0.000 0.000

---

DFT (r²SCAN) results for a relaxed structure of TbPr3.

Total DFT energy (no corrections) (eV per cell): -238.56
ΔE_f (meV per atom): 39.3
Size of the total moment (μB per atom): 0.303

a = 7.491 Å, b = 7.491 Å, c = 5.956 Å
α = 90.00°, β = 90.00°, γ = 120.00°
Sites, in units of the cell vectors:
Tb: 0.333 0.667 0.750
Tb: 0.667 0.333 0.250
Pr: 0.832 0.664 0.750
Pr: 0.664 0.832 0.250
Pr: 0.832 0.168 0.750
Pr: 0.168 0.336 0.250
Pr: 0.336 0.168 0.750
Pr: 0.168 0.832 0.250

---

DFT (r²SCAN) results for a relaxed structure of Eu2ZnHg.

Total DFT energy (no corrections) (eV per cell): -137.02
ΔE_f (meV per atom): -424.2
Size of the total moment (μB per atom): 3.575

a = 5.397 Å, b = 5.397 Å, c = 5.397 Å
α = 60.00°, β = 60.00°, γ = 60.00°
Sites, in units of the cell vectors:
Zn: 0.000 0.000 0.000
Eu: 0.750 0.750 0.750
Eu: 0.250 0.250 0.250
Hg: 0.500 0.500 0.500